# YbSbPd2

YbSbPd2 after structural relaxation (meta-GGA r2SCAN, the Materials Project).

Computed properties:
Total magnetic moment = 0.00 μB per formula unit
Calculated density = 11.2 g cm⁻³
Energy of formation from the pure elements = -907 meV/atom

Cell lengths 4.7372, 4.7372, 4.7372 Å; angles 60.00, 60.00, 60.00 degrees
Fractional positions:
Pd1 0.7500 0.7500 0.7500
Pd2 0.2500 0.2500 0.2500
Yb1 0.0000 0.0000 0.0000
Sb1 0.5000 0.5000 0.5000

---

# ZrSbPd

ZrSbPd after structural relaxation (meta-GGA r2SCAN, the Materials Project).

Computed properties:
Total magnetic moment = 0.00 μB per formula unit
Calculated density = 9.0 g cm⁻³
Energy of formation from the pure elements = -804 meV/atom

Cell lengths 4.3330, 6.8456, 7.9853 Å; angles 90.00, 90.00, 90.00 degrees
Fractional positions:
Sb1 0.2500 0.2694 0.1040
Sb2 0.2500 0.7694 0.3960
Sb3 0.7500 0.7306 0.8960
Sb4 0.7500 0.2306 0.6040
Pd1 0.2500 0.1669 0.4237
Pd2 0.7500 0.3331 0.9237
Pd3 0.7500 0.8331 0.5763
Pd4 0.2500 0.6669 0.0763
Zr1 0.7500 0.9843 0.1954
Zr2 0.7500 0.4843 0.3046
Zr3 0.2500 0.5157 0.6954
Zr4 0.2500 0.0157 0.8046

---

# Sc2Pd

Sc2Pd after structural relaxation (meta-GGA r2SCAN, the Materials Project).

Computed properties:
Total magnetic moment = 0.00 μB per formula unit
Calculated density = 5.4 g cm⁻³
Energy of formation from the pure elements = -659 meV/atom

Cell lengths 8.8159, 8.8159, 8.8159 Å; angles 60.00, 60.00, 60.00 degrees
Fractional positions:
Sc1 0.8092 0.4408 0.8092
Sc2 0.1908 0.5592 0.5592
Sc3 0.5000 0.0000 0.0000
Sc4 0.8092 0.8092 0.4408
Sc5 0.4408 0.8092 0.8092
Sc6 0.5592 0.1908 0.1908
Sc7 0.1908 0.1908 0.5592
Sc8 0.4408 0.4408 0.8092
Sc9 0.0000 0.5000 0.0000
Sc10 0.8092 0.4408 0.4408
Sc11 0.1908 0.5592 0.1908
Sc12 0.5592 0.5592 0.1908
Sc13 0.0000 0.0000 0.5000
Sc14 0.0000 0.0000 0.0000
Sc15 0.4408 0.8092 0.4408
Sc16 0.5592 0.1908 0.5592
Pd1 0.8553 0.2149 0.2149
Pd2 0.2149 0.8553 0.2149
Pd3 0.7851 0.7851 0.1447
Pd4 0.7851 0.7851 0.7851
Pd5 0.2149 0.2149 0.8553
Pd6 0.1447 0.7851 0.7851
Pd7 0.7851 0.1447 0.7851
Pd8 0.2149 0.2149 0.2149

---

# ScPd

ScPd after structural relaxation (meta-GGA r2SCAN, the Materials Project).

Computed properties:
Total magnetic moment = 0.00 μB per formula unit
Calculated density = 7.0 g cm⁻³
Energy of formation from the pure elements = -909 meV/atom

Cell lengths 3.2995, 3.2995, 3.2995 Å; angles 90.00, 90.00, 90.00 degrees
Fractional positions:
Pd1 0.0000 0.0000 0.0000
Sc1 0.5000 0.5000 0.5000

---

# ScSnPd

ScSnPd after structural relaxation (meta-GGA r2SCAN, the Materials Project).

Computed properties:
Total magnetic moment = 0.00 μB per formula unit
Calculated density = 7.7 g cm⁻³
Energy of formation from the pure elements = -872 meV/atom

Cell lengths 7.4823, 7.4823, 7.2417 Å; angles 90.00, 90.00, 120.00 degrees
Fractional positions:
Sn1 0.2746 0.2746 0.0000
Sn2 0.0000 0.7254 0.5000
Sn3 0.7254 0.0000 0.5000
Sn4 0.2746 0.2746 0.5000
Sn5 0.7254 0.0000 0.0000
Sn6 0.0000 0.7254 0.0000
Pd1 0.6667 0.3333 0.9682
Pd2 0.3333 0.6667 0.4682
Pd3 0.0000 0.0000 0.7500
Pd4 0.0000 0.0000 0.2500
Pd5 0.6667 0.3333 0.5318
Pd6 0.3333 0.6667 0.0318
Sc1 0.4007 0.0145 0.2500
Sc2 0.9855 0.3862 0.2500
Sc3 0.0145 0.4007 0.7500
Sc4 0.6138 0.5993 0.2500
Sc5 0.5993 0.6138 0.7500
Sc6 0.3862 0.9855 0.7500

---

# Sc2TcPd

Sc2TcPd after structural relaxation (meta-GGA r2SCAN, the Materials Project).

Computed properties:
Total magnetic moment = 0.00 μB per formula unit
Calculated density = 7.1 g cm⁻³
Energy of formation from the pure elements = -535 meV/atom

Cell lengths 4.5952, 4.5952, 4.5952 Å; angles 60.00, 60.00, 60.00 degrees
Fractional positions:
Pd1 0.2500 0.2500 0.2500
Tc1 0.7500 0.7500 0.7500
Sc1 0.5000 0.5000 0.5000
Sc2 0.0000 0.0000 0.0000

---

# TmScPd2

TmScPd2 after structural relaxation (meta-GGA r2SCAN, the Materials Project).

Computed properties:
Total magnetic moment = 0.00 μB per formula unit
Calculated density = 9.2 g cm⁻³
Energy of formation from the pure elements = -930 meV/atom

Cell lengths 4.7711, 4.7711, 4.7711 Å; angles 60.00, 60.00, 60.00 degrees
Fractional positions:
Tm1 0.0000 0.0000 0.0000
Pd1 0.7500 0.7500 0.7500
Pd2 0.2500 0.2500 0.2500
Sc1 0.5000 0.5000 0.5000

---

# ScZnPd2

ScZnPd2 after structural relaxation (meta-GGA r2SCAN, the Materials Project).

Computed properties:
Total magnetic moment = 0.00 μB per formula unit
Calculated density = 8.5 g cm⁻³
Energy of formation from the pure elements = -788 meV/atom

Cell lengths 4.4763, 4.4763, 4.4763 Å; angles 60.00, 60.00, 60.00 degrees
Fractional positions:
Pd1 0.5000 0.5000 0.5000
Pd2 0.0000 0.0000 0.0000
Zn1 0.7500 0.7500 0.7500
Sc1 0.2500 0.2500 0.2500

---

- Among the records above, which one has the highest energy of formation from the pure elements?
  Sc2TcPd

---

- What is the energy of formation from the pure elements in the fourth record?
  -909 meV/atom